ErTmPd2 | GGA-PBE | relaxed

Lattice parameters (Å, degrees): 4.9055 4.9055 4.9055 60.00 60.00 60.00
Sites, in units of the cell vectors:
Pd  0.7500  0.7500  0.7500
Tm  0.0000  0.0000  0.0000
Er  0.5000  0.5000  0.5000
Pd  0.2500  0.2500  0.2500

Values from the calculation:
space group	No. 225
crystal system	cubic
DFT formation energy	-937	meV/atom



Pm3Er | GGA-PBE | relaxed

Lattice parameters (Å, degrees): 5.1213 5.1213 5.1213 90.00 90.00 90.00
Sites, in units of the cell vectors:
Pm  0.0000  0.5000  0.5000
Pm  0.5000  0.0000  0.5000
Er  0.0000  0.0000  0.0000
Pm  0.5000  0.5000  0.0000

Values from the calculation:
space group	No. 221
energy above the lowest structure with this stoichiometry	0.00	kJ/mol of atoms
crystal system	cubic
DFT formation energy	9	meV/atom



PmEr3 | GGA-PBE | relaxed

Lattice parameters (Å, degrees): 5.0044 5.0044 5.0044 90.00 90.00 90.00
Sites, in units of the cell vectors:
Pm  0.0000  0.0000  0.0000
Er  0.0000  0.5000  0.5000
Er  0.5000  0.5000  0.0000
Er  0.5000  0.0000  0.5000

Values from the calculation:
space group	No. 221
energy above the lowest structure with this stoichiometry	0.95	kJ/mol of atoms
crystal system	cubic
DFT formation energy	25	meV/atom



PmEr3 | GGA-PBE | relaxed

Lattice parameters (Å, degrees): 6.1402 6.1402 6.1402 131.78 131.78 70.57
Sites, in units of the cell vectors:
Er  0.2500  0.7500  0.5000
Er  0.7500  0.2500  0.5000
Pm  0.0000  0.0000  0.0000
Er  0.5000  0.5000  0.0000

Values from the calculation:
space group	No. 139
energy above the lowest structure with this stoichiometry	1.24	kJ/mol of atoms
crystal system	tetragonal
DFT formation energy	28	meV/atom



Pm3Er | GGA-PBE | relaxed

Lattice parameters (Å, degrees): 7.3246 7.3246 5.8458 90.00 90.00 120.00
Sites, in units of the cell vectors:
Pm  0.3343  0.1672  0.7500
Pm  0.8328  0.6657  0.7500
Pm  0.6657  0.8328  0.2500
Er  0.6667  0.3333  0.2500
Pm  0.1672  0.3343  0.2500
Er  0.3333  0.6667  0.7500
Pm  0.8328  0.1672  0.7500
Pm  0.1672  0.8328  0.2500

Values from the calculation:
space group	No. 194
energy above the lowest structure with this stoichiometry	1.29	kJ/mol of atoms
crystal system	hexagonal
DFT formation energy	23	meV/atom



Pm3Er | GGA-PBE | relaxed

Lattice parameters (Å, degrees): 6.2981 6.2981 6.2981 132.15 132.15 69.99
Sites, in units of the cell vectors:
Er  0.0000  0.0000  0.0000
Pm  0.5000  0.5000  0.0000
Pm  0.7500  0.2500  0.5000
Pm  0.2500  0.7500  0.5000

Values from the calculation:
space group	No. 139
energy above the lowest structure with this stoichiometry	0.84	kJ/mol of atoms
crystal system	tetragonal
DFT formation energy	18	meV/atom



PmEr3 | GGA-PBE | relaxed

Lattice parameters (Å, degrees): 7.2003 7.2003 5.6957 90.00 90.00 120.00
Sites, in units of the cell vectors:
Er  0.3301  0.1651  0.7500
Pm  0.3333  0.6667  0.7500
Er  0.8349  0.1651  0.7500
Er  0.8349  0.6699  0.7500
Er  0.1651  0.8349  0.2500
Er  0.1651  0.3301  0.2500
Pm  0.6667  0.3333  0.2500
Er  0.6699  0.8349  0.2500

Values from the calculation:
space group	No. 194
energy above the lowest structure with this stoichiometry	0.00	kJ/mol of atoms
crystal system	hexagonal
DFT formation energy	15	meV/atom



PmErTl2 | GGA-PBE | relaxed

Lattice parameters (Å, degrees): 5.4189 5.4189 5.4189 60.00 60.00 60.00
Sites, in units of the cell vectors:
Tl  0.2500  0.2500  0.2500
Tl  0.7500  0.7500  0.7500
Er  0.5000  0.5000  0.5000
Pm  0.0000  0.0000  0.0000

Values from the calculation:
space group	No. 225
crystal system	cubic
DFT formation energy	-347	meV/atom